## NaTiFeO4 (meta-GGA r2SCAN)

Data for crystalline NaTiFeO4 at its relaxed geometry.

Values from the calculation:
- formation enthalpy at 0 K (eV per atom) = -2.45
- energy (eV per atom) = -10.28
- crystal system = orthorhombic

CIF file:
```
data_NaTiFeO4
_chemical_formula_sum 'Na4 Ti4 Fe4 O16'
_cell_length_a 9.135
_cell_length_b 2.972
_cell_length_c 11.328
_cell_angle_alpha 90.00
_cell_angle_beta 90.00
_cell_angle_gamma 90.00
_symmetry_space_group_name_H-M 'P n m a'
_symmetry_Int_Tables_number 62
_symmetry_space_group_name_Hall '-P 2ac 2n'
loop_
_atom_site_label
_atom_site_type_symbol
_atom_site_fract_x
_atom_site_fract_y
_atom_site_fract_z
_atom_site_occupancy
Na1 Na 0.111 0.250 0.110 1
Ti1 Ti 0.225 0.750 0.840 1
Fe1 Fe 0.017 0.250 0.618 1
O1 O 0.115 0.250 0.460 1
O2 O 0.117 0.250 0.906 1
O3 O 0.125 0.750 0.690 1
O4 O 0.150 0.750 0.270 1
```